# 1
Tb2Al9Ir3 | PBE | relaxed

Cell: 7.548 7.548 9.480 Å, 90.00 90.00 119.51°
Fractional positions:
Tb 0.995 0.669 0.250
Tb 0.005 0.331 0.750
Tb 0.669 0.995 0.250
Tb 0.331 0.005 0.750
Al 0.127 0.127 0.250
Al 0.873 0.873 0.750
Al 0.002 0.335 0.074
Al 0.998 0.665 0.926
Al 0.998 0.665 0.574
Al 0.335 0.002 0.426
Al 0.002 0.335 0.426
Al 0.665 0.998 0.574
Al 0.665 0.998 0.926
Al 0.335 0.002 0.074
Al 0.334 0.334 0.554
Al 0.666 0.666 0.446
Al 0.666 0.666 0.054
Al 0.334 0.334 0.946
Al 0.338 0.546 0.250
Al 0.662 0.454 0.750
Al 0.546 0.338 0.250
Al 0.454 0.662 0.750
Ir 0.672 0.328 0.000
Ir 0.328 0.672 0.000
Ir 0.328 0.672 0.500
Ir 0.672 0.328 0.500
Ir 0.000 0.000 0.000
Ir 0.000 0.000 0.500

Properties
**SG**: Cmcm
**Energy**: -5.83 eV per atom
**Energy of formation**: -0.868 eV per atom


# 2
Tm2Al9Ir3 | PBE | relaxed

Cell: 7.527 7.527 9.424 Å, 90.00 90.00 119.69°
Fractional positions:
Tm 0.995 0.670 0.250
Tm 0.005 0.330 0.750
Tm 0.670 0.995 0.250
Tm 0.330 0.005 0.750
Al 0.126 0.126 0.250
Al 0.874 0.874 0.750
Al 0.001 0.335 0.074
Al 0.999 0.665 0.926
Al 0.999 0.665 0.574
Al 0.335 0.001 0.426
Al 0.001 0.335 0.426
Al 0.665 0.999 0.574
Al 0.665 0.999 0.926
Al 0.335 0.001 0.074
Al 0.333 0.333 0.555
Al 0.667 0.667 0.445
Al 0.667 0.667 0.055
Al 0.333 0.333 0.945
Al 0.338 0.547 0.250
Al 0.662 0.453 0.750
Al 0.547 0.338 0.250
Al 0.453 0.662 0.750
Ir 0.672 0.328 0.000
Ir 0.328 0.672 0.000
Ir 0.328 0.672 0.500
Ir 0.672 0.328 0.500
Ir 0.000 0.000 0.000
Ir 0.000 0.000 0.500

Properties
**SG**: Cmcm
**Energy**: -5.79 eV per atom
**Energy of formation**: -0.853 eV per atom


# 3
UAlIr | PBE | relaxed

Cell: 6.911 6.911 4.115 Å, 90.00 90.00 120.00°
Fractional positions:
U 0.422 0.422 0.500
U 0.578 0.000 0.500
U 0.000 0.578 0.500
Al 0.763 0.763 0.000
Al 0.237 0.000 0.000
Al 0.000 0.237 0.000
Ir 0.667 0.333 0.000
Ir 0.333 0.667 0.000
Ir 0.000 0.000 0.500

Properties
**M_tot**: 1.84 μB/f.u.
**SG**: P-62m
**Energy**: -8.62 eV per atom
**Energy of formation**: -0.662 eV per atom


# 4
AlZnIr2 | PBE | relaxed

Cell: 4.282 4.282 4.282 Å, 60.00 60.00 60.00°
Fractional positions:
Al 0.500 0.500 0.500
Zn 0.000 0.000 0.000
Ir 0.250 0.250 0.250
Ir 0.750 0.750 0.750

Properties
**SG**: Fm-3m
**Energy**: -6.28 eV per atom
**Energy of formation**: -0.606 eV per atom


# 5
Zr6Al16Ir7 | PBE | relaxed

Cell: 8.750 8.750 8.750 Å, 60.00 60.00 60.00°
Fractional positions:
Zr 0.691 0.691 0.309
Zr 0.309 0.691 0.309
Zr 0.691 0.309 0.309
Zr 0.309 0.309 0.691
Zr 0.691 0.309 0.691
Zr 0.309 0.691 0.691
Al 0.880 0.880 0.360
Al 0.880 0.360 0.880
Al 0.360 0.880 0.880
Al 0.880 0.880 0.880
Al 0.120 0.120 0.640
Al 0.120 0.640 0.120
Al 0.640 0.120 0.120
Al 0.120 0.120 0.120
Al 0.662 0.662 0.015
Al 0.662 0.015 0.662
Al 0.015 0.662 0.662
Al 0.662 0.662 0.662
Al 0.338 0.338 0.985
Al 0.338 0.985 0.338
Al 0.985 0.338 0.338
Al 0.338 0.338 0.338
Ir 0.000 0.000 0.000
Ir 0.000 0.000 0.500
Ir 0.500 0.000 0.500
Ir 0.000 0.500 0.500
Ir 0.500 0.500 0.000
Ir 0.000 0.500 0.000
Ir 0.500 0.000 0.000

Properties
**SG**: Fm-3m
**Energy**: -6.83 eV per atom
**Energy of formation**: -0.859 eV per atom


# 6
K3Al | PBE | relaxed

Cell: 5.772 5.772 5.772 Å, 90.00 90.00 90.00°
Fractional positions:
K 0.000 0.500 0.500
K 0.500 0.000 0.500
K 0.500 0.500 0.000
Al 0.000 0.000 0.000

Properties
**M_tot**: 0.00 μB/f.u.
**SG**: Pm-3m
**Energy**: -1.45 eV per atom
**Energy of formation**: 0.323 eV per atom


# 7
K3Al | PBE | relaxed

Cell: 6.913 6.913 6.913 Å, 130.40 130.40 72.76°
Fractional positions:
K 0.750 0.250 0.500
K 0.250 0.750 0.500
K 0.500 0.500 0.000
Al 0.000 0.000 0.000

Properties
**M_tot**: 0.92 μB/f.u.
**SG**: I4/mmm
**Energy**: -1.46 eV per atom
**Energy of formation**: 0.308 eV per atom


# 8
K2LiAlP2 | PBE | relaxed

Cell: 6.124 6.163 8.629 Å, 110.92 110.78 90.00°
Fractional positions:
K 0.827 0.100 0.654
K 0.173 0.900 0.346
K 0.673 0.446 0.346
K 0.327 0.554 0.654
Li 0.250 0.500 0.000
Li 0.750 0.500 0.000
Al 0.250 0.000 0.000
Al 0.750 0.000 0.000
P 0.912 0.691 0.823
P 0.412 0.133 0.823
P 0.588 0.867 0.177
P 0.088 0.309 0.177

Properties
**M_tot**: 0.00 μB/f.u.
**SG**: Ibam
**Energy**: -3.76 eV per atom
**Energy of formation**: -0.641 eV per atom


# 9
KMg14Al | PBE | relaxed

Cell: 6.473 6.473 10.622 Å, 90.00 90.00 120.00°
Fractional positions:
K 0.167 0.333 0.625
Mg 0.164 0.832 0.125
Mg 0.175 0.837 0.625
Mg 0.668 0.336 0.125
Mg 0.663 0.325 0.625
Mg 0.668 0.832 0.125
Mg 0.663 0.837 0.625
Mg 0.336 0.164 0.359
Mg 0.336 0.164 0.891
Mg 0.336 0.672 0.359
Mg 0.336 0.672 0.891
Mg 0.828 0.164 0.359
Mg 0.828 0.164 0.891
Mg 0.833 0.667 0.381
Mg 0.833 0.667 0.869
Al 0.167 0.333 0.125

Properties
**M_tot**: 0.00 μB/f.u.
**SG**: P-6m2
**Energy**: -1.60 eV per atom
**Energy of formation**: 0.105 eV per atom


# 10
KMg14Al | PBE | relaxed

Cell: 6.464 6.518 10.560 Å, 90.00 90.00 120.28°
Fractional positions:
K 0.167 0.833 0.125
Mg 0.166 0.333 0.625
Mg 0.170 0.835 0.625
Mg 0.662 0.339 0.125
Mg 0.667 0.331 0.625
Mg 0.662 0.823 0.125
Mg 0.667 0.836 0.625
Mg 0.334 0.177 0.383
Mg 0.334 0.177 0.867
Mg 0.334 0.656 0.383
Mg 0.334 0.656 0.867
Mg 0.836 0.168 0.366
Mg 0.836 0.168 0.884
Mg 0.822 0.661 0.389
Mg 0.822 0.661 0.861
Al 0.187 0.343 0.125

Properties
**M_tot**: 0.00 μB/f.u.
**SG**: Amm2
**Energy**: -1.60 eV per atom
**Energy of formation**: 0.099 eV per atom


# 11
KMg6Al | PBE | relaxed

Cell: 5.182 6.767 11.690 Å, 90.00 90.00 90.00°
Fractional positions:
K 0.500 0.500 0.168
K 0.500 0.000 0.668
Mg 0.000 0.229 0.075
Mg 0.000 0.771 0.075
Mg 0.000 0.500 0.833
Mg 0.500 0.236 0.917
Mg 0.500 0.764 0.917
Mg 0.500 0.500 0.663
Mg 0.000 0.729 0.575
Mg 0.000 0.271 0.575
Mg 0.000 0.000 0.333
Mg 0.500 0.736 0.417
Mg 0.500 0.264 0.417
Mg 0.500 0.000 0.163
Al 0.000 0.500 0.351
Al 0.000 0.000 0.851

Properties
**M_tot**: 0.00 μB/f.u.
**Energy**: -1.61 eV per atom
**Energy of formation**: 0.194 eV per atom


# 12
KMg6Al | PBE | relaxed

Cell: 5.191 6.797 11.525 Å, 90.00 90.00 90.00°
Fractional positions:
K 0.500 0.500 0.836
K 0.500 0.000 0.336
Mg 0.500 0.243 0.082
Mg 0.500 0.757 0.082
Mg 0.000 0.227 0.916
Mg 0.000 0.773 0.916
Mg 0.000 0.500 0.169
Mg 0.000 0.500 0.655
Mg 0.500 0.743 0.582
Mg 0.500 0.257 0.582
Mg 0.000 0.727 0.416
Mg 0.000 0.273 0.416
Mg 0.000 0.000 0.669
Mg 0.000 0.000 0.155
Al 0.500 0.500 0.342
Al 0.500 0.000 0.842

Properties
**M_tot**: 0.00 μB/f.u.
**Energy**: -1.61 eV per atom
**Energy of formation**: 0.194 eV per atom


# 13
KMg14AlO16 | PBE | relaxed

Cell: 8.576 8.576 4.380 Å, 90.00 90.00 90.00°
Fractional positions:
K 0.500 0.500 0.000
Mg 0.500 0.000 0.000
Mg 0.000 0.500 0.000
Mg 0.251 0.000 0.500
Mg 0.749 0.000 0.500
Mg 0.251 0.500 0.500
Mg 0.749 0.500 0.500
Mg 0.000 0.251 0.500
Mg 0.500 0.251 0.500
Mg 0.000 0.749 0.500
Mg 0.500 0.749 0.500
Mg 0.252 0.252 0.000
Mg 0.748 0.252 0.000
Mg 0.252 0.748 0.000
Mg 0.748 0.748 0.000
Al 0.000 0.000 0.000
O 0.000 0.226 0.000
O 0.500 0.223 0.000
O 0.000 0.774 0.000
O 0.500 0.777 0.000
O 0.249 0.249 0.500
O 0.751 0.249 0.500
O 0.249 0.751 0.500
O 0.751 0.751 0.500
O 0.000 0.000 0.500
O 0.500 0.000 0.500
O 0.000 0.500 0.500
O 0.500 0.500 0.500
O 0.226 0.000 0.000
O 0.774 0.000 0.000
O 0.223 0.500 0.000
O 0.777 0.500 0.000

Properties
**M_tot**: 0.01 μB/f.u.
**SG**: P4/mmm
**Total energy after the MP2020 corrections**: -6.21 eV/atom
**Energy**: -5.87 eV per atom
**Energy of formation**: -2.886 eV per atom


# 14
KMg14AlO16 | PBE | relaxed

Cell: 4.379 8.508 8.603 Å, 90.00 90.00 90.00°
Fractional positions:
K 0.000 0.500 0.000
Mg 0.000 0.000 0.500
Mg 0.000 0.500 0.500
Mg 0.500 0.748 0.000
Mg 0.500 0.252 0.000
Mg 0.500 0.748 0.500
Mg 0.500 0.252 0.500
Mg 0.500 0.000 0.750
Mg 0.500 0.500 0.748
Mg 0.500 0.000 0.250
Mg 0.500 0.500 0.252
Mg 0.000 0.748 0.747
Mg 0.000 0.252 0.747
Mg 0.000 0.748 0.253
Mg 0.000 0.252 0.253
Al 0.000 0.000 0.000
O 0.000 0.000 0.762
O 0.000 0.500 0.725
O 0.000 0.000 0.238
O 0.000 0.500 0.275
O 0.500 0.751 0.751
O 0.500 0.249 0.751
O 0.500 0.751 0.249
O 0.500 0.249 0.249
O 0.500 0.000 0.000
O 0.500 0.500 0.000
O 0.500 0.000 0.500
O 0.500 0.500 0.500
O 0.000 0.788 0.000
O 0.000 0.212 0.000
O 0.000 0.759 0.500
O 0.000 0.241 0.500

Properties
**M_tot**: 0.01 μB/f.u.
**SG**: Pmmm
**Total energy after the MP2020 corrections**: -6.23 eV/atom
**Energy**: -5.89 eV per atom
**Energy of formation**: -2.906 eV per atom


# 15
KMg30AlO32 | PBE | relaxed

Cell: 8.570 8.570 8.528 Å, 90.00 90.00 90.00°
Fractional positions:
K 0.000 0.000 0.500
Mg 0.500 0.000 0.000
Mg 0.500 0.000 0.500
Mg 0.000 0.500 0.000
Mg 0.000 0.500 0.500
Mg 0.500 0.500 0.000
Mg 0.500 0.500 0.500
Mg 0.253 0.000 0.251
Mg 0.253 0.000 0.749
Mg 0.747 0.000 0.251
Mg 0.747 0.000 0.749
Mg 0.250 0.500 0.251
Mg 0.250 0.500 0.749
Mg 0.750 0.500 0.251
Mg 0.750 0.500 0.749
Mg 0.000 0.253 0.251
Mg 0.000 0.253 0.749
Mg 0.500 0.250 0.251
Mg 0.500 0.250 0.749
Mg 0.000 0.747 0.251
Mg 0.000 0.747 0.749
Mg 0.500 0.750 0.251
Mg 0.500 0.750 0.749
Mg 0.250 0.250 0.000
Mg 0.251 0.251 0.500
Mg 0.750 0.250 0.000
Mg 0.749 0.251 0.500
Mg 0.250 0.750 0.000
Mg 0.251 0.749 0.500
Mg 0.750 0.750 0.000
Mg 0.749 0.749 0.500
Al 0.000 0.000 0.000
O 0.000 0.240 0.000
O 0.000 0.273 0.500
O 0.500 0.249 0.000
O 0.500 0.253 0.500
O 0.000 0.760 0.000
O 0.000 0.727 0.500
O 0.500 0.751 0.000
O 0.500 0.747 0.500
O 0.249 0.249 0.249
O 0.249 0.249 0.751
O 0.751 0.249 0.249
O 0.751 0.249 0.751
O 0.249 0.751 0.249
O 0.249 0.751 0.751
O 0.751 0.751 0.249
O 0.751 0.751 0.751
O 0.000 0.000 0.216
O 0.000 0.000 0.784
O 0.500 0.000 0.244
O 0.500 0.000 0.756
O 0.000 0.500 0.244
O 0.000 0.500 0.756
O 0.500 0.500 0.248
O 0.500 0.500 0.752
O 0.240 0.000 0.000
O 0.273 0.000 0.500
O 0.760 0.000 0.000
O 0.727 0.000 0.500
O 0.249 0.500 0.000
O 0.253 0.500 0.500
O 0.751 0.500 0.000
O 0.747 0.500 0.500

Properties
**M_tot**: 0.00 μB/f.u.
**SG**: P4/mmm
**Total energy after the MP2020 corrections**: -6.29 eV/atom
**Energy**: -5.95 eV per atom
**Energy of formation**: -2.993 eV per atom